Below is Sc3TaSiS5O24 after structural relaxation, with properties calculated at the PBE level.

Calculated values
Energy of formation from the pure elements ... -2.6302 eV/atom

a b c (Å): 8.8775 8.8805 22.8489
angles (deg): 89.93 89.72 60.06
Sites, in units of the cell vectors:
Sc (0.0000, 0.0000, 0.0000)
Sc (0.0000, 0.0061, 0.2129)
Sc (0.0044, 0.0147, 0.5067)
Sc (0.3247, 0.3391, 0.6708)
Sc (0.3338, 0.3391, 0.3806)
Sc (0.3348, 0.3403, 0.1705)
Sc (0.6610, 0.6831, 0.8390)
Sc (0.6671, 0.6733, 0.3364)
Sc (0.9980, 0.0186, 0.7156)
Ta (0.3402, 0.3398, 0.8837)
Ta (0.6583, 0.6791, 0.0434)
Ta (0.6720, 0.6689, 0.5506)
Si (0.0080, 0.2890, 0.6101)
Si (0.3768, 0.6769, 0.9404)
Si (0.6704, 0.9606, 0.9402)
S (0.0000, 0.7148, 0.1092)
S (0.0455, 0.3385, 0.2758)
S (0.0454, 0.6282, 0.7759)
S (0.2894, 0.7161, 0.6087)
S (0.2911, 0.0060, 0.1089)
S (0.3336, 0.6292, 0.2758)
S (0.3348, 0.0510, 0.7759)
S (0.3803, 0.9600, 0.4421)
S (0.6219, 0.3405, 0.7752)
S (0.6238, 0.0505, 0.2757)
S (0.6674, 0.3852, 0.4422)
S (0.7119, 0.0076, 0.6088)
S (0.7122, 0.2972, 0.1091)
S (0.9550, 0.6741, 0.4422)
S (0.9555, 0.3852, 0.9415)
O (0.0265, 0.1837, 0.2673)
O (0.0288, 0.1785, 0.5513)
O (0.0313, 0.7924, 0.0578)
O (0.0315, 0.7991, 0.7686)
O (0.1260, 0.3686, 0.2235)
O (0.1266, 0.5154, 0.4355)
O (0.1297, 0.5188, 0.7236)
O (0.1312, 0.3704, 0.9337)
O (0.1536, 0.5401, 0.1190)
O (0.1552, 0.3100, 0.3284)
O (0.1599, 0.5391, 0.8287)
O (0.1670, 0.3237, 0.6179)
O (0.1783, 0.0343, 0.7696)
O (0.1790, 0.8028, 0.2673)
O (0.1850, 0.7932, 0.5557)
O (0.1856, 0.0351, 0.0575)
O (0.1930, 0.8385, 0.9545)
O (0.2093, 0.9754, 0.4498)
O (0.2149, 0.9728, 0.1622)
O (0.2189, 0.8247, 0.6607)
O (0.3047, 0.5478, 0.3285)
O (0.3059, 0.1655, 0.8284)
O (0.3172, 0.1562, 0.1187)
O (0.3207, 0.5399, 0.6164)
O (0.3584, 0.5005, 0.9310)
O (0.3627, 0.1326, 0.7236)
O (0.3638, 0.1332, 0.4348)
O (0.3641, 0.5186, 0.2236)
O (0.4637, 0.8503, 0.3899)
O (0.4697, 0.6998, 0.5968)
O (0.4703, 0.8450, 0.1012)
O (0.4717, 0.6969, 0.8848)
O (0.4894, 0.1514, 0.9304)
O (0.4891, 0.6475, 0.2846)
O (0.4888, 0.8797, 0.7823)
O (0.4927, 0.8753, 0.4949)
O (0.5077, 0.6362, 0.0000)
O (0.5093, 0.3713, 0.4356)
O (0.5140, 0.1303, 0.2236)
O (0.5136, 0.3661, 0.7237)
O (0.5319, 0.3132, 0.8289)
O (0.5364, 0.3201, 0.1189)
O (0.5381, 0.1560, 0.6167)
O (0.5428, 0.1604, 0.3285)
O (0.6362, 0.8650, 0.9998)
O (0.6391, 0.5009, 0.4952)
O (0.6428, 0.8764, 0.2845)
O (0.6435, 0.4903, 0.7842)
O (0.6897, 0.8467, 0.5969)
O (0.6951, 0.4735, 0.1013)
O (0.6961, 0.4673, 0.3903)
O (0.7017, 0.8404, 0.8852)
O (0.7896, 0.1904, 0.0575)
O (0.7921, 0.0295, 0.5555)
O (0.7916, 0.1789, 0.7708)
O (0.7979, 0.0313, 0.2674)
O (0.8192, 0.2129, 0.4507)
O (0.8208, 0.2177, 0.1622)
O (0.8214, 0.9650, 0.6606)
O (0.8256, 0.9934, 0.9543)
O (0.8290, 0.4882, 0.5952)
O (0.8439, 0.6931, 0.1006)
O (0.8453, 0.7000, 0.3905)
O (0.8503, 0.4620, 0.8899)
O (0.8663, 0.6462, 0.4955)
O (0.8716, 0.4938, 0.2847)
O (0.8751, 0.4996, 0.9958)
O (0.8762, 0.6414, 0.7836)
O (0.9615, 0.2091, 0.6661)
O (0.9683, 0.8249, 0.1622)
O (0.9731, 0.8262, 0.4518)
O (0.9792, 0.2144, 0.9528)